! V2S2O11, optimized geometry, DFT GGA+U; values from VASP
&SYSTEM
  ibrav = 0, nat = 60, ntyp = 3
/
ATOMIC_SPECIES
V 50.94 V.upf
S 32.06 S.upf
O 16.00 O.upf
ATOMIC_POSITIONS crystal
V 0.129 0.357 0.333
V 0.629 0.143 0.667
V 0.871 0.643 0.667
V 0.371 0.857 0.333
V 0.873 0.620 0.177
V 0.373 0.880 0.823
V 0.127 0.380 0.823
V 0.627 0.120 0.177
S 0.926 0.289 0.104
S 0.426 0.211 0.896
S 0.074 0.711 0.896
S 0.574 0.789 0.104
S 0.785 0.428 0.473
S 0.285 0.072 0.527
S 0.215 0.572 0.527
S 0.715 0.928 0.473
O 0.927 0.356 0.495
O 0.427 0.144 0.505
O 0.073 0.644 0.505
O 0.573 0.856 0.495
O 0.754 0.491 0.323
O 0.254 0.009 0.677
O 0.246 0.509 0.677
O 0.746 0.991 0.323
O 0.772 0.548 0.541
O 0.272 0.952 0.459
O 0.228 0.452 0.459
O 0.728 0.048 0.541
O 0.660 0.328 0.525
O 0.160 0.172 0.475
O 0.852 0.427 0.073
O 0.340 0.672 0.475
O 0.607 0.252 0.242
O 0.107 0.248 0.758
O 0.393 0.748 0.758
O 0.893 0.752 0.242
O 0.233 0.855 0.236
O 0.733 0.645 0.764
O 0.767 0.145 0.764
O 0.267 0.355 0.236
O 0.463 0.020 0.241
O 0.963 0.480 0.759
O 0.537 0.980 0.759
O 0.037 0.520 0.241
O 0.674 0.670 0.093
O 0.174 0.830 0.907
O 0.326 0.330 0.907
O 0.826 0.170 0.093
O 0.449 0.786 0.008
O 0.949 0.714 0.992
O 0.551 0.214 0.992
O 0.051 0.286 0.008
O 0.511 0.747 0.248
O 0.011 0.753 0.752
O 0.489 0.253 0.752
O 0.989 0.247 0.248
O 0.648 0.927 0.073
O 0.148 0.573 0.927
O 0.352 0.073 0.927
O 0.840 0.828 0.525
CELL_PARAMETERS angstrom
9.116 0.000 0.000
0.000 9.673 0.000
0.000 2.686 9.740
! ΔH_f (0 K) in eV/f.u.: -30.0
! Calculated volume in Å³ per atom: 14.3
! Symmetry: No. 14
! Energy with MP2020 corrections in eV per cell: -443.55

! WS2O8, optimized geometry, DFT GGA+U; values from VASP
&SYSTEM
  ibrav = 0, nat = 88, ntyp = 3
/
ATOMIC_SPECIES
W 183.84 W.upf
S 32.06 S.upf
O 16.00 O.upf
ATOMIC_POSITIONS crystal
W 0.895 0.859 0.127
W 0.605 0.859 0.627
W 0.395 0.641 0.127
W 0.105 0.641 0.627
W 0.895 0.359 0.373
W 0.605 0.359 0.873
W 0.395 0.141 0.373
W 0.105 0.141 0.873
S 0.934 0.925 0.721
S 0.566 0.925 0.221
S 0.312 0.843 0.487
S 0.188 0.843 0.987
S 0.812 0.657 0.487
S 0.688 0.657 0.987
S 0.066 0.575 0.221
S 0.434 0.575 0.721
S 0.566 0.425 0.279
S 0.934 0.425 0.779
S 0.312 0.343 0.013
S 0.188 0.343 0.513
S 0.812 0.157 0.013
S 0.688 0.157 0.513
S 0.434 0.075 0.779
S 0.066 0.075 0.279
O 0.304 0.004 0.473
O 0.196 0.004 0.973
O 0.012 0.985 0.354
O 0.488 0.985 0.854
O 0.530 0.972 0.322
O 0.970 0.972 0.822
O 0.731 0.913 0.221
O 0.769 0.913 0.721
O 0.275 0.818 0.078
O 0.225 0.818 0.578
O 0.032 0.810 0.015
O 0.468 0.810 0.515
O 0.988 0.771 0.716
O 0.512 0.771 0.216
O 0.269 0.763 0.404
O 0.231 0.763 0.904
O 0.769 0.737 0.404
O 0.731 0.737 0.904
O 0.012 0.729 0.216
O 0.488 0.729 0.716
O 0.968 0.690 0.515
O 0.532 0.690 0.015
O 0.775 0.682 0.078
O 0.725 0.682 0.578
O 0.231 0.587 0.221
O 0.269 0.587 0.721
O 0.470 0.528 0.822
O 0.030 0.528 0.322
O 0.512 0.515 0.354
O 0.988 0.515 0.854
O 0.804 0.496 0.473
O 0.696 0.496 0.973
O 0.304 0.504 0.027
O 0.196 0.504 0.527
O 0.488 0.485 0.646
O 0.012 0.485 0.146
O 0.530 0.472 0.178
O 0.970 0.472 0.678
O 0.731 0.413 0.279
O 0.769 0.413 0.779
O 0.275 0.318 0.422
O 0.225 0.318 0.922
O 0.468 0.310 0.985
O 0.032 0.310 0.485
O 0.512 0.271 0.284
O 0.988 0.271 0.784
O 0.269 0.263 0.096
O 0.231 0.263 0.596
O 0.769 0.237 0.096
O 0.731 0.237 0.596
O 0.488 0.229 0.784
O 0.012 0.229 0.284
O 0.532 0.190 0.485
O 0.968 0.190 0.985
O 0.775 0.182 0.422
O 0.725 0.182 0.922
O 0.269 0.087 0.779
O 0.231 0.087 0.279
O 0.470 0.028 0.678
O 0.030 0.028 0.178
O 0.988 0.015 0.646
O 0.512 0.015 0.146
O 0.804 0.996 0.027
O 0.696 0.996 0.527
CELL_PARAMETERS angstrom
-2.709 7.971 3.807
-1.562 -4.419 8.141
12.987 2.561 3.882
! ΔH_f (0 K) in eV/f.u.: -20.1
! Calculated volume in Å³ per atom: 13.6
! Symmetry: No. 61
! Magnetic moment in μB/f.u.: 2.00
! Energy with MP2020 corrections in eV per cell: -647.26

! WS2O9, optimized geometry, DFT GGA+U; values from VASP
&SYSTEM
  ibrav = 0, nat = 48, ntyp = 3
/
ATOMIC_SPECIES
W 183.84 W.upf
S 32.06 S.upf
O 16.00 O.upf
ATOMIC_POSITIONS crystal
W 0.647 0.168 0.256
W 0.853 0.168 0.756
W 0.353 0.832 0.744
W 0.147 0.832 0.244
S 0.673 0.956 0.090
S 0.827 0.956 0.590
S 0.327 0.044 0.910
S 0.173 0.044 0.410
S 0.474 0.312 0.365
S 0.026 0.312 0.865
S 0.526 0.688 0.635
S 0.974 0.688 0.135
O 0.695 0.404 0.079
O 0.805 0.404 0.579
O 0.305 0.596 0.921
O 0.195 0.596 0.421
O 0.658 0.749 0.129
O 0.842 0.749 0.629
O 0.342 0.251 0.871
O 0.158 0.251 0.371
O 0.714 0.115 0.904
O 0.786 0.115 0.404
O 0.286 0.885 0.096
O 0.214 0.885 0.596
O 0.571 0.063 0.109
O 0.929 0.063 0.609
O 0.429 0.937 0.891
O 0.071 0.937 0.391
O 0.750 0.973 0.215
O 0.750 0.973 0.715
O 0.250 0.027 0.785
O 0.250 0.027 0.285
O 0.438 0.523 0.295
O 0.062 0.523 0.795
O 0.562 0.477 0.705
O 0.938 0.477 0.205
O 0.407 0.149 0.516
O 0.093 0.149 0.016
O 0.593 0.851 0.484
O 0.907 0.851 0.984
O 0.599 0.271 0.415
O 0.901 0.271 0.915
O 0.401 0.729 0.585
O 0.099 0.729 0.085
O 0.480 0.252 0.229
O 0.020 0.252 0.729
O 0.520 0.748 0.771
O 0.980 0.748 0.271
CELL_PARAMETERS angstrom
-9.152 3.424 -7.018
-4.919 -2.653 5.121
-3.421 5.009 6.905
! ΔH_f (0 K) in eV/f.u.: -21.6
! Calculated volume in Å³ per atom: 14.5
! Symmetry: No. 14
! Energy with MP2020 corrections in eV per cell: -349.42

! ZnW2SO3, optimized geometry, DFT GGA+U; values from VASP
&SYSTEM
  ibrav = 0, nat = 28, ntyp = 4
/
ATOMIC_SPECIES
Zn 65.41 Zn.upf
W 183.84 W.upf
S 32.06 S.upf
O 16.00 O.upf
ATOMIC_POSITIONS crystal
Zn 0.000 0.000 0.000
Zn 0.500 0.500 0.500
Zn 0.513 0.989 0.250
Zn 0.487 0.011 0.750
W 0.416 0.590 0.214
W 0.584 0.410 0.786
W 0.184 0.431 0.528
W 0.816 0.569 0.472
W 0.732 0.287 0.085
W 0.268 0.713 0.915
W 0.004 0.767 0.236
W 0.996 0.233 0.764
S 0.341 0.245 0.051
S 0.659 0.755 0.949
S 0.739 0.084 0.463
S 0.261 0.916 0.537
O 0.725 0.002 0.618
O 0.275 0.998 0.382
O 0.252 0.052 0.678
O 0.748 0.948 0.322
O 0.271 0.107 0.054
O 0.729 0.893 0.946
O 0.552 0.767 0.132
O 0.448 0.233 0.868
O 0.556 0.191 0.465
O 0.444 0.809 0.535
O 0.502 0.193 0.146
O 0.498 0.807 0.854
CELL_PARAMETERS angstrom
-6.374 -0.343 4.768
-6.964 -1.399 -5.454
0.141 -8.139 2.424
! ΔH_f (0 K) in eV/f.u.: 1.5
! Calculated volume in Å³ per atom: 20.4
! Symmetry: No. 2
! Magnetic moment in μB/f.u.: 7.95
! Energy with MP2020 corrections in eV per cell: -178.80

! VSbSe4O12, optimized geometry, DFT GGA+U; values from VASP
&SYSTEM
  ibrav = 0, nat = 36, ntyp = 4
/
ATOMIC_SPECIES
V 50.94 V.upf
Sb 121.76 Sb.upf
Se 78.96 Se.upf
O 16.00 O.upf
ATOMIC_POSITIONS crystal
V 0.000 0.500 0.000
V 0.500 0.500 0.500
Sb 0.000 0.000 0.500
Sb 0.500 0.000 0.000
Se 0.330 0.661 0.169
Se 0.830 0.339 0.331
Se 0.666 0.828 0.666
Se 0.166 0.172 0.834
Se 0.670 0.339 0.831
Se 0.170 0.661 0.669
Se 0.334 0.172 0.334
Se 0.834 0.828 0.166
O 0.243 0.533 0.032
O 0.743 0.467 0.468
O 0.757 0.971 0.532
O 0.257 0.029 0.968
O 0.532 0.970 0.757
O 0.468 0.533 0.257
O 0.968 0.467 0.243
O 0.032 0.030 0.743
O 0.972 0.240 0.471
O 0.534 0.745 0.533
O 0.472 0.760 0.029
O 0.034 0.255 0.967
O 0.757 0.467 0.968
O 0.257 0.533 0.532
O 0.243 0.029 0.468
O 0.743 0.971 0.032
O 0.468 0.030 0.243
O 0.532 0.467 0.743
O 0.032 0.533 0.757
O 0.968 0.970 0.257
O 0.028 0.760 0.529
O 0.466 0.255 0.467
O 0.528 0.240 0.971
O 0.966 0.745 0.033
CELL_PARAMETERS angstrom
-0.268 -3.619 7.377
-4.597 -6.048 -3.134
6.772 -4.281 -1.854
! ΔH_f (0 K) in eV/f.u.: -27.7
! Calculated volume in Å³ per atom: 15.4
! Symmetry: No. 14
! Energy with MP2020 corrections in eV per cell: -228.61

! V11Sb9O40, optimized geometry, DFT GGA+U; values from VASP
&SYSTEM
  ibrav = 0, nat = 60, ntyp = 3
/
ATOMIC_SPECIES
V 50.94 V.upf
Sb 121.76 Sb.upf
O 16.00 O.upf
ATOMIC_POSITIONS crystal
V 0.000 0.019 0.001
V 0.000 0.981 0.499
V 0.000 0.000 0.700
V 0.000 0.999 0.600
V 0.000 0.000 0.800
V 0.000 0.001 0.900
V 0.500 0.522 0.047
V 0.500 0.502 0.150
V 0.500 0.498 0.350
V 0.500 0.500 0.250
V 0.500 0.478 0.453
Sb 0.000 0.006 0.099
Sb 0.000 0.001 0.200
Sb 0.000 0.994 0.401
Sb 0.000 0.999 0.300
Sb 0.500 0.499 0.650
Sb 0.500 0.500 0.750
Sb 0.500 0.496 0.550
Sb 0.500 0.501 0.850
Sb 0.500 0.504 0.950
O 0.000 0.689 0.070
O 0.000 0.304 0.129
O 0.000 0.695 0.170
O 0.000 0.305 0.330
O 0.000 0.696 0.371
O 0.000 0.311 0.430
O 0.000 0.307 0.530
O 0.000 0.692 0.570
O 0.000 0.309 0.731
O 0.000 0.691 0.769
O 0.000 0.308 0.930
O 0.000 0.693 0.970
O 0.500 0.189 0.281
O 0.500 0.195 0.079
O 0.500 0.190 0.381
O 0.500 0.801 0.020
O 0.500 0.193 0.180
O 0.500 0.199 0.480
O 0.500 0.810 0.119
O 0.500 0.811 0.219
O 0.500 0.196 0.680
O 0.500 0.807 0.320
O 0.500 0.197 0.580
O 0.500 0.197 0.880
O 0.500 0.804 0.520
O 0.500 0.805 0.421
O 0.500 0.803 0.620
O 0.500 0.195 0.780
O 0.500 0.805 0.720
O 0.500 0.196 0.980
O 0.500 0.804 0.820
O 0.500 0.803 0.920
O 0.000 0.316 0.032
O 0.000 0.304 0.230
O 0.000 0.696 0.270
O 0.000 0.684 0.468
O 0.000 0.305 0.630
O 0.000 0.689 0.670
O 0.000 0.311 0.830
O 0.000 0.695 0.870
CELL_PARAMETERS angstrom
3.148 0.000 0.000
0.000 4.677 0.030
0.000 -0.063 46.632
! ΔH_f (0 K) in eV/f.u.: -132.4
! Calculated volume in Å³ per atom: 11.4
! Symmetry: No. 10
! Magnetic moment in μB/f.u.: 20.03
! Energy with MP2020 corrections in eV per cell: -467.37

! VZn2SbO6, optimized geometry, DFT GGA+U; values from VASP
&SYSTEM
  ibrav = 0, nat = 40, ntyp = 4
/
ATOMIC_SPECIES
V 50.94 V.upf
Zn 65.41 Zn.upf
Sb 121.76 Sb.upf
O 16.00 O.upf
ATOMIC_POSITIONS crystal
V 0.750 0.250 0.500
V 0.250 0.750 0.000
V 0.250 0.750 0.500
V 0.750 0.250 0.000
Zn 0.533 0.018 0.750
Zn 0.033 0.519 0.750
Zn 0.467 0.981 0.250
Zn 0.967 0.482 0.250
Zn 0.021 0.992 0.750
Zn 0.521 0.492 0.750
Zn 0.979 0.008 0.250
Zn 0.479 0.508 0.250
Sb 0.250 0.250 0.500
Sb 0.750 0.750 0.500
Sb 0.250 0.250 0.000
Sb 0.750 0.750 0.000
O 0.726 0.856 0.250
O 0.226 0.356 0.250
O 0.274 0.144 0.750
O 0.774 0.644 0.750
O 0.656 0.264 0.750
O 0.156 0.764 0.750
O 0.344 0.736 0.250
O 0.844 0.236 0.250
O 0.499 0.175 0.434
O 0.999 0.676 0.434
O 0.501 0.825 0.934
O 0.001 0.324 0.934
O 0.499 0.176 0.066
O 0.999 0.675 0.066
O 0.501 0.824 0.566
O 0.001 0.325 0.566
O 0.174 0.009 0.068
O 0.674 0.509 0.068
O 0.826 0.991 0.568
O 0.326 0.491 0.568
O 0.174 0.009 0.432
O 0.674 0.509 0.432
O 0.826 0.991 0.932
O 0.326 0.491 0.932
CELL_PARAMETERS angstrom
3.231 -3.951 5.409
6.796 2.406 -2.261
-0.564 6.087 4.783
! ΔH_f (0 K) in eV/f.u.: -19.6
! Calculated volume in Å³ per atom: 10.9
! Magnetic moment in μB/f.u.: 0.00
! Energy with MP2020 corrections in eV per cell: -260.11

! SbWO7, optimized geometry, DFT GGA+U; values from VASP
&SYSTEM
  ibrav = 0, nat = 18, ntyp = 3
/
ATOMIC_SPECIES
Sb 121.76 Sb.upf
W 183.84 W.upf
O 16.00 O.upf
ATOMIC_POSITIONS crystal
Sb 0.500 0.000 0.000
Sb 0.500 0.500 0.500
W 0.500 0.000 0.500
W 0.000 0.000 0.000
O 0.807 0.057 0.750
O 0.425 0.675 0.750
O 0.819 0.688 0.754
O 0.434 0.065 0.746
O 0.819 0.065 0.131
O 0.434 0.688 0.369
O 0.193 0.943 0.250
O 0.575 0.325 0.250
O 0.181 0.312 0.246
O 0.566 0.935 0.254
O 0.181 0.935 0.869
O 0.566 0.312 0.631
O 0.874 0.624 0.250
O 0.126 0.376 0.750
CELL_PARAMETERS angstrom
6.615 -2.412 -2.189
-0.954 -6.258 3.780
-4.919 2.193 -5.036
! ΔH_f (0 K) in eV/f.u.: -11.6
! Calculated volume in Å³ per atom: 15.7
! Symmetry: No. 74
! Magnetic moment in μB/f.u.: 2.63
! Energy with MP2020 corrections in eV per cell: -126.66

Which value of calculated volume does entry 6 give? 11.4 Å³ per atom

Number 3 is which compound? WS2O9